Here is a relaxed NaGa4 crystal from the Materials Project. Energies are from r2SCAN.

## Properties
* DFT formation energy: -0.19 eV per atom
* calculated density: 5.12 g/cm3
* calculated volume: 97.8 Å³/cell

a = 6.3044 Å, b = 6.3044 Å, c = 6.3044 Å
α = 141.15°, β = 141.15°, γ = 56.11°
Last column: nearest neighbours and their distance in Å.
Sites, in units of the cell vectors:
Na 0.0000 0.0000 0.0000  16 Ga 3.21-3.48
Ga 0.2500 0.7500 0.5000  4 Ga 2.61
Ga 0.3893 0.3893 0.0000  5 Ga 2.46-2.61
Ga 0.6107 0.6107 0.0000  5 Ga 2.46-2.61
Ga 0.7500 0.2500 0.5000  4 Ga 2.61